# CrCdF6 (GGA+U, relaxed)
data_CrCdF6
_cell_length_a 5.3059
_cell_length_b 5.3059
_cell_length_c 14.3337
_cell_angle_alpha 90.00
_cell_angle_beta 90.00
_cell_angle_gamma 120.00
_symmetry_space_group_name_H-M 'R -3'
_symmetry_Int_Tables_number 148
_symmetry_space_group_name_Hall '-R 3'
loop_
_atom_site_label
_atom_site_type_symbol
_atom_site_fract_x
_atom_site_fract_y
_atom_site_fract_z
Cr1 Cr 0.0000 0.0000 0.0000
Cd1 Cd 0.0000 0.0000 0.5000
F1 F 0.0154 0.7222 0.0755
# Total DFT energy (no corrections)   -4.774 eV per atom
# ΔE_f   -60.24 kcal/mol of atoms
# V   14.6 A^3/atom